Record 1
A geometry-optimized K2PbO3 structure, computed with PBE.

Calculated values
mass density	4.75	Mg/m³
total energy after the MP2020 corrections	-5.05	eV per atom
symmetry	Pnma
energy of formation from the pure elements	-1.591	eV per atom

Cell lengths 6.1037, 7.0874, 10.7796 Å; angles 90.00, 90.00, 90.00 degrees
Closest atoms and distances in Å follow each position.
Element x y z (fractional)
K: 0.7673 0.3879 0.0860  5 O 2.70-2.89
K: 0.2673 0.1121 0.4140  5 O 2.70-2.89
K: 0.7327 0.8879 0.9140  5 O 2.70-2.89
K: 0.2327 0.6121 0.5860  5 O 2.70-2.89
K: 0.2327 0.6121 0.9140  5 O 2.70-2.89
K: 0.7327 0.8879 0.5860  5 O 2.70-2.89
K: 0.2673 0.1121 0.0860  5 O 2.70-2.89
K: 0.7673 0.3879 0.4140  5 O 2.70-2.89
Pb: 0.7313 0.8480 0.2500  5 O 2.06-2.24
Pb: 0.2313 0.6520 0.2500  5 O 2.06-2.24
Pb: 0.7687 0.3480 0.7500  5 O 2.06-2.24
Pb: 0.2687 0.1520 0.7500  5 O 2.06-2.24
O: 0.9945 0.7821 0.1161  2 Pb 2.21-2.24
O: 0.4945 0.7179 0.3839  2 Pb 2.21-2.24
O: 0.5055 0.2821 0.8839  2 Pb 2.21-2.24
O: 0.0055 0.2179 0.6161  2 Pb 2.21-2.24
O: 0.0055 0.2179 0.8839  2 Pb 2.21-2.24
O: 0.5055 0.2821 0.6161  2 Pb 2.21-2.24
O: 0.4945 0.7179 0.1161  2 Pb 2.21-2.24
O: 0.9945 0.7821 0.3839  2 Pb 2.21-2.24
O: 0.1304 0.3746 0.2500  1 Pb 2.06
O: 0.6304 0.1254 0.2500  1 Pb 2.06
O: 0.3696 0.8746 0.7500  1 Pb 2.06
O: 0.8696 0.6254 0.7500  1 Pb 2.06

Record 2
A geometry-optimized HoBi structure, computed with PBE.

Calculated values
mass density	9.89	Mg/m³
symmetry	Fm-3m
energy of formation from the pure elements	-0.827	eV per atom

Cell lengths 4.4609, 4.4609, 4.4609 Å; angles 60.00, 60.00, 60.00 degrees
Closest atoms and distances in Å follow each position.
Element x y z (fractional)
Ho: 0.0000 0.0000 0.0000  6 Bi 3.15
Bi: 0.5000 0.5000 0.5000  6 Ho 3.15

Record 3
A geometry-optimized Cs3Bi2Br9 structure, computed with PBE.

Calculated values
mass density	4.33	Mg/m³
total energy after the MP2020 corrections	-3.41	eV per atom
symmetry	C2/c
energy of formation from the pure elements	-1.606	eV per atom

Cell lengths 8.1854, 8.1854, 20.2536 Å; angles 89.29, 89.29, 60.17 degrees
Closest atoms and distances in Å follow each position.
Element x y z (fractional)
Cs: 0.6738 0.6571 0.1677  12 Br 4.01-4.20
Cs: 0.0000 0.0000 0.0000  12 Br 4.07-4.23
Cs: 0.3429 0.3262 0.3323  12 Br 4.01-4.20
Cs: 0.0000 0.0000 0.5000  12 Br 4.07-4.23
Cs: 0.6571 0.6738 0.6677  12 Br 4.01-4.20
Cs: 0.3262 0.3429 0.8323  12 Br 4.01-4.20
Bi: 0.6738 0.6632 0.4072  6 Br 2.75-3.05
Bi: 0.3368 0.3262 0.0928  6 Br 2.75-3.05
Bi: 0.6632 0.6738 0.9072  6 Br 2.75-3.05
Bi: 0.3262 0.3368 0.5928  6 Br 2.75-3.05
Br: 0.1638 0.6658 0.6642  1 Bi 2.76
Br: 0.8232 0.3491 0.8335  1 Bi 2.75
Br: 0.0000 0.5000 0.5000  2 Bi 2.99
Br: 0.6658 0.1638 0.1642  1 Bi 2.76
Br: 0.1497 0.1892 0.6698  1 Bi 2.76
Br: 0.8108 0.8503 0.8302  1 Bi 2.76
Br: 0.0000 0.5000 0.0000  2 Bi 3.05
Br: 0.8503 0.8108 0.3302  1 Bi 2.76
Br: 0.3342 0.8362 0.8358  1 Bi 2.76
Br: 0.8362 0.3342 0.3358  1 Bi 2.76
Br: 0.5000 0.5000 0.0000  2 Bi 3.02
Br: 0.3491 0.8232 0.3335  1 Bi 2.75
Br: 0.6509 0.1768 0.6665  1 Bi 2.75
Br: 0.1768 0.6509 0.1665  1 Bi 2.75
Br: 0.5000 0.0000 0.0000  2 Bi 2.99
Br: 0.1892 0.1497 0.1698  1 Bi 2.76
Br: 0.5000 0.0000 0.5000  2 Bi 3.05
Br: 0.5000 0.5000 0.5000  2 Bi 3.02

Record 4
A geometry-optimized EuAl3Pd2 structure, computed with PBE.

Calculated values
mass density	6.32	Mg/m³
symmetry	P6/mmm
energy of formation from the pure elements	-0.760	eV per atom

Cell lengths 4.3404, 9.6692, 9.6685 Å; angles 120.00, 90.00, 90.00 degrees
Closest atoms and distances in Å follow each position.
Element x y z (fractional)
Eu: 0.5000 0.3333 0.6667  6 Pd 3.31, 12 Al 3.38-3.54
Eu: 0.5000 0.6666 0.3333  6 Pd 3.31, 12 Al 3.38-3.54
Eu: 0.0000 0.0000 0.0000  6 Pd 3.08
Al: 0.5000 0.3025 0.0000  4 Pd 2.67, 4 Al 2.89-2.92
Al: 0.5000 0.6975 0.6976  4 Pd 2.67, 4 Al 2.89-2.92
Al: 0.5000 0.0000 0.3024  4 Pd 2.67, 4 Al 2.89-2.92
Al: 0.5000 0.6975 0.0000  4 Pd 2.67, 4 Al 2.89-2.92
Al: 0.5000 0.3024 0.3024  4 Pd 2.67, 4 Al 2.89-2.92
Al: 0.5000 0.0000 0.6976  4 Pd 2.67, 4 Al 2.89-2.92
Al: 0.0000 0.5000 0.0000  4 Pd 2.66, 4 Al 2.89
Al: 0.0000 0.5000 0.5000  4 Pd 2.66, 4 Al 2.89
Al: 0.0000 0.0000 0.5000  4 Pd 2.66, 4 Al 2.89
Pd: 0.0000 0.1840 0.3680  6 Al 2.66-2.67
Pd: 0.0000 0.1840 0.8160  6 Al 2.66-2.67
Pd: 0.0000 0.6321 0.8160  6 Al 2.66-2.67
Pd: 0.0000 0.8160 0.6320  6 Al 2.66-2.67
Pd: 0.0000 0.3679 0.1840  6 Al 2.66-2.67
Pd: 0.0000 0.8160 0.1840  6 Al 2.66-2.67